P:
# Ca2SnS4 | Materials Project | PBE | optimized geometry
# M_tot = 0.0 μB per cell
# Maximum piezoelectric response = 0.80 C/m²
# Density = 3.12 g/cm3
data_Ca2SnS4
_cell_length_a 6.1846
_cell_length_b 6.1846
_cell_length_c 9.7369
_cell_angle_alpha 90.00
_cell_angle_beta 90.00
_cell_angle_gamma 110.60
_symmetry_space_group_name_H-M 'P 1'
_symmetry_Int_Tables_number 1
loop_
_symmetry_equiv_pos_as_xyz
'x,y,z'
loop_
_atom_site_label
_atom_site_type_symbol
_atom_site_fract_x
_atom_site_fract_y
_atom_site_fract_z
_atom_site_occupancy
Sn1 Sn 0.5433 0.0990 0.7500 1
Sn2 Sn 0.0990 0.5433 0.2500 1
S1 S 0.9199 0.0524 0.7500 1
S2 S 0.0524 0.9199 0.2500 1
S3 S 0.8840 0.3485 0.0526 1
S4 S 0.8840 0.3485 0.4474 1
S5 S 0.3485 0.8840 0.9474 1
S6 S 0.6181 0.5075 0.7500 1
S7 S 0.5075 0.6181 0.2500 1
S8 S 0.3485 0.8840 0.5526 1
Ca1 Ca 0.7920 0.7920 0.5000 1
Ca2 Ca 0.5240 0.1455 0.2500 1
Ca3 Ca 0.7920 0.7920 0.0000 1
Ca4 Ca 0.1455 0.5240 0.7500 1


Q:
# Ca2SnS4 | Materials Project | PBE | optimized geometry
# Density = 2.84 g/cm3
data_Ca2SnS4
_cell_length_a 6.5863
_cell_length_b 8.2948
_cell_length_c 13.9908
_cell_angle_alpha 90.00
_cell_angle_beta 90.00
_cell_angle_gamma 90.00
_symmetry_space_group_name_H-M 'P 1'
_symmetry_Int_Tables_number 1
loop_
_symmetry_equiv_pos_as_xyz
'x,y,z'
loop_
_atom_site_label
_atom_site_type_symbol
_atom_site_fract_x
_atom_site_fract_y
_atom_site_fract_z
_atom_site_occupancy
Sn1 Sn 0.0866 0.2500 0.5953 1
Sn2 Sn 0.9134 0.7500 0.4047 1
Sn3 Sn 0.4134 0.2500 0.0953 1
Sn4 Sn 0.5866 0.7500 0.9047 1
Ca1 Ca 0.5000 0.5000 0.5000 1
Ca2 Ca 0.9882 0.2500 0.2736 1
Ca3 Ca 0.0118 0.7500 0.7264 1
Ca4 Ca 0.5118 0.2500 0.7736 1
Ca5 Ca 0.5000 0.0000 0.5000 1
Ca6 Ca 0.0000 0.5000 0.0000 1
Ca7 Ca 0.4882 0.7500 0.2264 1
Ca8 Ca 0.0000 0.0000 0.0000 1
S1 S 0.7596 0.7500 0.5630 1
S2 S 0.7542 0.9764 0.8284 1
S3 S 0.7458 0.5236 0.3284 1
S4 S 0.7458 0.9764 0.3284 1
S5 S 0.2458 0.0236 0.1716 1
S6 S 0.2404 0.2500 0.4370 1
S7 S 0.2458 0.4764 0.1716 1
S8 S 0.7542 0.5236 0.8284 1
S9 S 0.2596 0.2500 0.9370 1
S10 S 0.7404 0.7500 0.0630 1
S11 S 0.7765 0.2500 0.0930 1
S12 S 0.2542 0.0236 0.6716 1
S13 S 0.2542 0.4764 0.6716 1
S14 S 0.2235 0.7500 0.9070 1
S15 S 0.2765 0.7500 0.4070 1
S16 S 0.7235 0.2500 0.5930 1


R:
# Ca2SnS4 | Materials Project | PBE | optimized geometry
# M_tot = 0.0 μB per cell
# Density = 3.05 g/cm3
data_Ca2SnS4
_cell_length_a 6.9958
_cell_length_b 6.8311
_cell_length_c 7.7926
_cell_angle_alpha 72.97
_cell_angle_beta 90.00
_cell_angle_gamma 90.00
_symmetry_space_group_name_H-M 'P 1'
_symmetry_Int_Tables_number 1
loop_
_symmetry_equiv_pos_as_xyz
'x,y,z'
loop_
_atom_site_label
_atom_site_type_symbol
_atom_site_fract_x
_atom_site_fract_y
_atom_site_fract_z
_atom_site_occupancy
Sn1 Sn 0.7500 0.7594 0.1869 1
Sn2 Sn 0.2500 0.2406 0.8131 1
Ca1 Ca 0.2500 0.7235 0.4460 1
Ca2 Ca 0.2500 0.7110 0.9463 1
Ca3 Ca 0.7500 0.2765 0.5540 1
Ca4 Ca 0.7500 0.2890 0.0537 1
S1 S 0.0037 0.5051 0.2517 1
S2 S 0.2500 0.0315 0.1149 1
S3 S 0.4963 0.5051 0.2517 1
S4 S 0.9963 0.4949 0.7483 1
S5 S 0.2500 0.0362 0.6147 1
S6 S 0.7500 0.9685 0.8851 1
S7 S 0.7500 0.9638 0.3853 1
S8 S 0.5037 0.4949 0.7483 1


S:
# Ca2SnS4 | Materials Project | PBE | optimized geometry
# M_tot = 0.0 μB per cell
# Density = 2.99 g/cm3
data_Ca2SnS4
_cell_length_a 7.1573
_cell_length_b 6.8016
_cell_length_c 15.5791
_cell_angle_alpha 73.66
_cell_angle_beta 90.00
_cell_angle_gamma 90.00
_symmetry_space_group_name_H-M 'P 1'
_symmetry_Int_Tables_number 1
loop_
_symmetry_equiv_pos_as_xyz
'x,y,z'
loop_
_atom_site_label
_atom_site_type_symbol
_atom_site_fract_x
_atom_site_fract_y
_atom_site_fract_z
_atom_site_occupancy
S1 S 0.4859 0.9922 0.8721 1
S2 S 0.0141 0.9922 0.3721 1
S3 S 0.8144 0.5256 0.8133 1
S4 S 0.5141 0.0078 0.1279 1
S5 S 0.0086 0.0123 0.1203 1
S6 S 0.5086 0.9877 0.3797 1
S7 S 0.9859 0.0078 0.6279 1
S8 S 0.6856 0.5256 0.3133 1
S9 S 0.1856 0.4744 0.1867 1
S10 S 0.3144 0.4744 0.6867 1
S11 S 0.7166 0.5335 0.0561 1
S12 S 0.7834 0.5335 0.5561 1
S13 S 0.9914 0.9877 0.8797 1
S14 S 0.4914 0.0123 0.6203 1
S15 S 0.2166 0.4665 0.4439 1
S16 S 0.2834 0.4665 0.9439 1
Ca1 Ca 0.2530 0.7959 0.5236 1
Ca2 Ca 0.1690 0.7407 0.7827 1
Ca3 Ca 0.6690 0.2593 0.7173 1
Ca4 Ca 0.7530 0.2041 0.9764 1
Ca5 Ca 0.3310 0.7407 0.2827 1
Ca6 Ca 0.7470 0.2041 0.4764 1
Ca7 Ca 0.2470 0.7959 0.0236 1
Ca8 Ca 0.8310 0.2593 0.2173 1
Sn1 Sn 0.2354 0.2567 0.5945 1
Sn2 Sn 0.7354 0.7433 0.9055 1
Sn3 Sn 0.7646 0.7433 0.4055 1
Sn4 Sn 0.2646 0.2567 0.0945 1


From most stable to least stable, the computed energies give Q, P, S, R.


P:
# Zn3B2O6 | Materials Project | PBE | optimized geometry
# M_tot = 0.0 μB per cell
# Density = 4.05 g/cm3
data_Zn3B2O6
_cell_length_a 12.5338
_cell_length_b 12.5338
_cell_length_c 8.4853
_cell_angle_alpha 76.81
_cell_angle_beta 76.81
_cell_angle_gamma 23.40
_symmetry_space_group_name_H-M 'P 1'
_symmetry_Int_Tables_number 1
loop_
_symmetry_equiv_pos_as_xyz
'x,y,z'
loop_
_atom_site_label
_atom_site_type_symbol
_atom_site_fract_x
_atom_site_fract_y
_atom_site_fract_z
_atom_site_occupancy
O1 O 0.8365 0.4893 0.8699 1
O2 O 0.0970 0.7399 0.9296 1
O3 O 0.2410 0.8288 0.3507 1
O4 O 0.1583 0.7670 0.6489 1
O5 O 0.7288 0.9025 0.7704 1
O6 O 0.4893 0.8365 0.3699 1
O7 O 0.8936 0.2631 0.5691 1
O8 O 0.0969 0.2684 0.2294 1
O9 O 0.9008 0.5293 0.5901 1
O10 O 0.5017 0.3345 0.7890 1
O11 O 0.5293 0.9008 0.0901 1
O12 O 0.6703 0.4905 0.2082 1
O13 O 0.1607 0.5104 0.6294 1
O14 O 0.8288 0.2410 0.8507 1
O15 O 0.0969 0.4698 0.9093 1
O16 O 0.7670 0.1583 0.1489 1
O17 O 0.3345 0.5017 0.2890 1
O18 O 0.4905 0.6703 0.7082 1
O19 O 0.5104 0.1607 0.1294 1
O20 O 0.4698 0.0969 0.4093 1
O21 O 0.7399 0.0970 0.4296 1
O22 O 0.9025 0.7288 0.2704 1
O23 O 0.2684 0.0969 0.7294 1
O24 O 0.2631 0.8936 0.0691 1
Zn1 Zn 0.0988 0.4807 0.4620 1
Zn2 Zn 0.8093 0.4428 0.3697 1
Zn3 Zn 0.4807 0.0988 0.9620 1
Zn4 Zn 0.5552 0.1893 0.6294 1
Zn5 Zn 0.5168 0.9002 0.5377 1
Zn6 Zn 0.1893 0.5552 0.1294 1
Zn7 Zn 0.1277 0.7722 0.4242 1
Zn8 Zn 0.9002 0.5168 0.0377 1
Zn9 Zn 0.8752 0.2200 0.0747 1
Zn10 Zn 0.2200 0.8752 0.5747 1
Zn11 Zn 0.7722 0.1277 0.9242 1
Zn12 Zn 0.4428 0.8093 0.8697 1
B1 B 0.2540 0.6130 0.7868 1
B2 B 0.7361 0.3921 0.7118 1
B3 B 0.0004 0.3727 0.7297 1
B4 B 0.3921 0.7361 0.2118 1
B5 B 0.6130 0.2540 0.2868 1
B6 B 0.6269 0.9967 0.2698 1
B7 B 0.3727 0.0004 0.2297 1
B8 B 0.9967 0.6269 0.7698 1


Q:
# Zn3B2O6 | Materials Project | PBE | optimized geometry
# M_tot = 0.0 μB per cell
# Density = 3.98 g/cm3
data_Zn3B2O6
_cell_length_a 6.4509
_cell_length_b 8.4130
_cell_length_c 10.1284
_cell_angle_alpha 89.75
_cell_angle_beta 89.72
_cell_angle_gamma 72.28
_symmetry_space_group_name_H-M 'P 1'
_symmetry_Int_Tables_number 1
loop_
_symmetry_equiv_pos_as_xyz
'x,y,z'
loop_
_atom_site_label
_atom_site_type_symbol
_atom_site_fract_x
_atom_site_fract_y
_atom_site_fract_z
_atom_site_occupancy
O1 O 0.7234 0.5937 0.1976 1
O2 O 0.1734 0.0963 0.9472 1
O3 O 0.2766 0.4063 0.8024 1
O4 O 0.1705 0.0854 0.4515 1
O5 O 0.0073 0.7852 0.8516 1
O6 O 0.8037 0.4485 0.8939 1
O7 O 0.6682 0.0062 0.8438 1
O8 O 0.5239 0.7142 0.3911 1
O9 O 0.7395 0.6178 0.6970 1
O10 O 0.8295 0.9146 0.5485 1
O11 O 0.1963 0.5515 0.1061 1
O12 O 0.3182 0.9367 0.6502 1
O13 O 0.3318 0.9938 0.1562 1
O14 O 0.9927 0.2148 0.1484 1
O15 O 0.5058 0.3101 0.1166 1
O16 O 0.7280 0.4224 0.3884 1
O17 O 0.2605 0.3822 0.3030 1
O18 O 0.4942 0.6899 0.8834 1
O19 O 0.4761 0.2858 0.6089 1
O20 O 0.8266 0.9037 0.0528 1
O21 O 0.2720 0.5776 0.6116 1
O22 O 0.9976 0.1767 0.6608 1
O23 O 0.0024 0.8233 0.3392 1
O24 O 0.6818 0.0633 0.3498 1
Zn1 Zn 0.5167 0.2901 0.4177 1
Zn2 Zn 0.4833 0.7099 0.5823 1
Zn3 Zn 0.9390 0.7171 0.1793 1
Zn4 Zn 0.7243 0.1049 0.6767 1
Zn5 Zn 0.6059 0.0675 0.1568 1
Zn6 Zn 0.0214 0.2786 0.3392 1
Zn7 Zn 0.0610 0.2829 0.8207 1
Zn8 Zn 0.2757 0.8951 0.3233 1
Zn9 Zn 0.3941 0.9325 0.8432 1
Zn10 Zn 0.7497 0.4018 0.0772 1
Zn11 Zn 0.9786 0.7214 0.6608 1
Zn12 Zn 0.2503 0.5982 0.9228 1
B1 B 0.3427 0.4233 0.6742 1
B2 B 0.6573 0.5767 0.3258 1
B3 B 0.8368 0.8988 0.9163 1
B4 B 0.8367 0.9338 0.4124 1
B5 B 0.3185 0.4133 0.1755 1
B6 B 0.6815 0.5867 0.8245 1
B7 B 0.1632 0.1012 0.0837 1
B8 B 0.1633 0.0662 0.5876 1


From most stable to least stable, the computed energies give Q, P.


P:
# P | Materials Project | PBE | optimized geometry
# Density = 3.14 g/cm3
data_P
_cell_length_a 3.7002
_cell_length_b 3.7002
_cell_length_c 3.7002
_cell_angle_alpha 56.26
_cell_angle_beta 56.26
_cell_angle_gamma 56.26
_symmetry_space_group_name_H-M 'P 1'
_symmetry_Int_Tables_number 1
loop_
_symmetry_equiv_pos_as_xyz
'x,y,z'
loop_
_atom_site_label
_atom_site_type_symbol
_atom_site_fract_x
_atom_site_fract_y
_atom_site_fract_z
_atom_site_occupancy
P1 P 0.2278 0.2278 0.2278 1
P2 P 0.7722 0.7722 0.7722 1


Q:
# P | Materials Project | PBE | optimized geometry
# M_tot = 0.0 μB per cell
# Density = 3.20 g/cm3
data_P
_cell_length_a 3.5713
_cell_length_b 3.5713
_cell_length_c 3.5713
_cell_angle_alpha 122.66
_cell_angle_beta 117.19
_cell_angle_gamma 90.20
_symmetry_space_group_name_H-M 'P 1'
_symmetry_Int_Tables_number 1
loop_
_symmetry_equiv_pos_as_xyz
'x,y,z'
loop_
_atom_site_label
_atom_site_type_symbol
_atom_site_fract_x
_atom_site_fract_y
_atom_site_fract_z
_atom_site_occupancy
P1 P 0.8007 0.2500 0.5507 1
P2 P 0.1993 0.7500 0.4493 1


From most stable to least stable, the computed energies give P, Q.


P:
# H8PtO6 | Materials Project | PBE | optimized geometry
# M_tot = 0.0 μB per cell
# Density = 4.30 g/cm3
data_H8PtO6
_cell_length_a 5.5990
_cell_length_b 5.6529
_cell_length_c 7.4061
_cell_angle_alpha 88.37
_cell_angle_beta 86.07
_cell_angle_gamma 81.54
_symmetry_space_group_name_H-M 'P 1'
_symmetry_Int_Tables_number 1
loop_
_symmetry_equiv_pos_as_xyz
'x,y,z'
loop_
_atom_site_label
_atom_site_type_symbol
_atom_site_fract_x
_atom_site_fract_y
_atom_site_fract_z
_atom_site_occupancy
O1 O 0.3499 0.3169 0.9921 1
O2 O 0.5784 0.0429 0.7581 1
O3 O 0.1085 0.7886 0.9357 1
O4 O 0.8042 0.1306 0.4125 1
O5 O 0.6424 0.6336 0.0195 1
O6 O 0.4090 0.9535 0.2404 1
O7 O 0.9315 0.4032 0.7495 1
O8 O 0.6584 0.6547 0.4928 1
O9 O 0.3248 0.3445 0.4925 1
O10 O 0.1767 0.8919 0.5821 1
O11 O 0.0289 0.5626 0.2704 1
O12 O 0.8722 0.1608 0.0808 1
H1 H 0.8523 0.1389 0.2261 1
H2 H 0.4619 0.4474 0.9987 1
H3 H 0.8673 0.5929 0.3518 1
H4 H 0.0871 0.3781 0.6739 1
H5 H 0.7237 0.1255 0.7481 1
H6 H 0.4014 0.1010 0.1617 1
H7 H 0.9442 0.0448 0.4776 1
H8 H 0.9746 0.0087 0.0220 1
H9 H 0.6276 0.7490 0.9158 1
H10 H 0.4224 0.2068 0.8793 1
H11 H 0.7399 0.6011 0.6058 1
H12 H 0.5166 0.8204 0.1702 1
H13 H 0.1265 0.8092 0.8005 1
H14 H 0.4563 0.4477 0.4925 1
H15 H 0.1493 0.4474 0.3425 1
H16 H 0.1753 0.7502 0.5097 1
Pt1 Pt 0.4985 0.0026 0.4999 1
Pt2 Pt 0.9918 0.4775 0.0034 1


Q:
# H8PtO6 | Materials Project | PBE | optimized geometry
# M_tot = 0.0 μB per cell
# Density = 4.25 g/cm3
data_H8PtO6
_cell_length_a 5.5969
_cell_length_b 5.7081
_cell_length_c 7.4907
_cell_angle_alpha 87.77
_cell_angle_beta 84.29
_cell_angle_gamma 78.77
_symmetry_space_group_name_H-M 'P 1'
_symmetry_Int_Tables_number 1
loop_
_symmetry_equiv_pos_as_xyz
'x,y,z'
loop_
_atom_site_label
_atom_site_type_symbol
_atom_site_fract_x
_atom_site_fract_y
_atom_site_fract_z
_atom_site_occupancy
H1 H 0.7582 0.6033 0.0962 1
H2 H 0.8563 0.1715 0.7044 1
H3 H 0.2052 0.3971 0.1071 1
H4 H 0.4257 0.2048 0.3750 1
H5 H 0.9116 0.2798 0.2388 1
H6 H 0.1739 0.8464 0.2009 1
H7 H 0.8643 0.6101 0.8486 1
H8 H 0.5510 0.6956 0.4383 1
H9 H 0.5775 0.8127 0.6303 1
H10 H 0.9565 0.0261 0.9779 1
H11 H 0.2715 0.9260 0.7503 1
H12 H 0.1547 0.4852 0.8253 1
H13 H 0.7435 0.9854 0.2730 1
H14 H 0.0364 0.9389 0.4830 1
H15 H 0.3839 0.2140 0.5903 1
H16 H 0.4669 0.4685 0.0031 1
O1 O 0.8887 0.1850 0.5693 1
O2 O 0.3411 0.3592 0.0018 1
O3 O 0.1256 0.7941 0.4126 1
O4 O 0.4233 0.9904 0.7397 1
O5 O 0.0281 0.5916 0.7594 1
O6 O 0.3547 0.3225 0.4804 1
O7 O 0.8133 0.1303 0.9230 1
O8 O 0.1907 0.8819 0.0671 1
O9 O 0.9679 0.4319 0.2417 1
O10 O 0.6437 0.6628 0.5450 1
O11 O 0.6641 0.6507 0.9890 1
O12 O 0.5677 0.0089 0.2598 1
Pt1 Pt 0.5068 0.0003 0.0001 1
Pt2 Pt 0.9994 0.4960 0.5014 1


From most stable to least stable, the computed energies give P, Q.


P:
# K6MgSb2S8 | Materials Project | PBE | optimized geometry
# M_tot = 0.0 μB per cell
# Density = 2.29 g/cm3
data_K6MgSb2S8
_cell_length_a 7.9712
_cell_length_b 8.3566
_cell_length_c 8.3566
_cell_angle_alpha 93.45
_cell_angle_beta 95.48
_cell_angle_gamma 84.52
_symmetry_space_group_name_H-M 'P 1'
_symmetry_Int_Tables_number 1
loop_
_symmetry_equiv_pos_as_xyz
'x,y,z'
loop_
_atom_site_label
_atom_site_type_symbol
_atom_site_fract_x
_atom_site_fract_y
_atom_site_fract_z
_atom_site_occupancy
S1 S 0.6257 0.3992 0.6008 1
S2 S 0.8436 0.9644 0.3574 1
S3 S 0.3852 0.9119 0.0881 1
S4 S 0.3475 0.3852 0.9549 1
S5 S 0.8436 0.6426 0.0356 1
S6 S 0.7694 0.1001 0.8999 1
S7 S 0.1125 0.5542 0.4458 1
S8 S 0.3475 0.0451 0.6148 1
Mg1 Mg 0.6803 0.9105 0.0895 1
K1 K 0.5296 0.6663 0.3337 1
K2 K 0.4348 0.6941 0.7903 1
K3 K 0.9641 0.8119 0.7079 1
K4 K 0.0167 0.3009 0.6991 1
K5 K 0.9641 0.2921 0.1881 1
K6 K 0.4348 0.2097 0.3059 1
Sb1 Sb 0.0574 0.7589 0.2411 1
Sb2 Sb 0.5105 0.2278 0.7722 1


Q:
# K6MgSb2S8 | Materials Project | PBE | optimized geometry
# M_tot = 2.0 μB per cell
# Density = 2.35 g/cm3
data_K6MgSb2S8
_cell_length_a 8.1450
_cell_length_b 8.1630
_cell_length_c 8.1576
_cell_angle_alpha 97.97
_cell_angle_beta 89.77
_cell_angle_gamma 90.35
_symmetry_space_group_name_H-M 'P 1'
_symmetry_Int_Tables_number 1
loop_
_symmetry_equiv_pos_as_xyz
'x,y,z'
loop_
_atom_site_label
_atom_site_type_symbol
_atom_site_fract_x
_atom_site_fract_y
_atom_site_fract_z
_atom_site_occupancy
S1 S 0.3481 0.0354 0.5993 1
S2 S 0.8471 0.5886 0.0808 1
S3 S 0.6286 0.4586 0.5411 1
S4 S 0.3491 0.4000 0.9639 1
S5 S 0.7261 0.0884 0.9109 1
S6 S 0.1205 0.5547 0.4450 1
S7 S 0.8461 0.9183 0.4109 1
S8 S 0.2324 0.9345 0.0650 1
K1 K 0.0131 0.3032 0.6955 1
K2 K 0.5131 0.1774 0.2567 1
K3 K 0.0269 0.8437 0.7442 1
K4 K 0.5123 0.7425 0.8226 1
K5 K 0.0292 0.2559 0.1545 1
K6 K 0.4596 0.6981 0.3040 1
Sb1 Sb 0.0546 0.7719 0.2284 1
Sb2 Sb 0.5229 0.2351 0.7640 1
Mg1 Mg 0.8292 0.5937 0.4049 1


From most stable to least stable, the computed energies give P, Q.